# 1
Zn3Fe2O7 after structural relaxation, computed with GGA+U.

a b c (Å): 9.424 9.424 5.223
angles (deg): 90.00 90.00 147.30
Sites, in units of the cell vectors:
O (0.936, 0.347, 0.317)
O (0.441, 0.708, 0.443)
Fe (0.645, 0.851, 0.746)
O (0.653, 0.064, 0.817)
Zn (0.258, 0.258, 0.777)
O (0.837, 0.994, 0.064)
O (0.364, 0.364, 0.163)
Zn (0.580, 0.973, 0.201)
Fe (0.355, 0.149, 0.246)
O (0.708, 0.441, 0.443)
O (0.559, 0.292, 0.943)
O (0.163, 0.006, 0.564)
O (0.006, 0.163, 0.564)
Zn (0.027, 0.420, 0.701)
O (0.347, 0.936, 0.317)
Zn (0.973, 0.580, 0.201)
O (0.994, 0.837, 0.064)
Fe (0.851, 0.645, 0.746)
O (0.636, 0.636, 0.663)
Fe (0.149, 0.355, 0.246)
O (0.292, 0.559, 0.943)
Zn (0.420, 0.027, 0.701)
Zn (0.742, 0.742, 0.277)
O (0.064, 0.653, 0.817)

Computed properties:
The formation energy is -1.486 eV per atom. The calculation puts the spin magnetization at 8.0 μB per formula unit. As for the crystal system: orthorhombic. Its calculated total energy is -0.196 hartree per atom. The MP2020-corrected energy is -146.4 eV for the cell shown.

---

# 2
Zn2Fe7O12 after structural relaxation, computed with GGA+U.

a b c (Å): 13.552 13.552 13.552
angles (deg): 154.15 154.15 36.88
Sites, in units of the cell vectors:
O (0.788, 0.059, 0.271)
Zn (0.584, 0.084, 0.500)
O (0.601, 0.372, 0.229)
Zn (0.834, 0.834, 0.000)
O (0.930, 0.704, 0.225)
Fe (0.250, 0.750, 0.500)
O (0.608, 0.878, 0.729)
Fe (0.708, 0.958, 0.250)
Fe (0.375, 0.125, 0.750)
Fe (0.375, 0.625, 0.750)
O (0.941, 0.212, 0.729)
O (0.962, 0.733, 0.771)
O (0.628, 0.858, 0.229)
O (0.454, 0.729, 0.275)
Fe (0.375, 0.625, 0.250)
O (0.479, 0.704, 0.775)
O (0.962, 0.191, 0.229)
Zn (0.166, 0.166, 0.000)
Fe (0.042, 0.792, 0.750)
O (0.271, 0.546, 0.725)
O (0.820, 0.546, 0.275)
O (0.296, 0.521, 0.225)
Fe (0.042, 0.292, 0.750)
Fe (0.042, 0.292, 0.250)
Fe (0.708, 0.958, 0.750)
O (0.149, 0.878, 0.271)
O (0.454, 0.180, 0.725)
O (0.483, 0.212, 0.271)
O (0.122, 0.851, 0.729)
O (0.628, 0.399, 0.771)
Fe (0.708, 0.458, 0.750)
O (0.267, 0.038, 0.229)
Fe (0.500, 0.500, 0.000)
O (0.296, 0.070, 0.775)
O (0.122, 0.392, 0.271)
O (0.142, 0.372, 0.771)
Fe (0.208, 0.958, 0.250)
O (0.788, 0.517, 0.729)
Fe (0.542, 0.292, 0.250)
O (0.809, 0.038, 0.771)
Fe (0.875, 0.625, 0.250)
Zn (0.916, 0.416, 0.500)

Computed properties:
The formation energy is -1.704 eV per atom. The calculation puts the spin magnetization at 34.0 μB per formula unit. As for the crystal system: tetragonal. Its calculated total energy is -0.233 hartree per atom. The MP2020-corrected energy is -313.9 eV for the cell shown.

---

# 3
ZnFeO2 after structural relaxation, computed with GGA+U.

a b c (Å): 3.011 8.188 8.422
angles (deg): 89.67 99.38 99.96
Sites, in units of the cell vectors:
Zn (0.637, 0.082, 0.752)
O (0.056, 0.907, 0.767)
O (0.178, 0.737, 0.070)
Zn (0.911, 0.740, 0.589)
O (0.944, 0.093, 0.233)
O (0.829, 0.763, 0.362)
Fe (0.811, 0.416, 0.735)
Fe (0.189, 0.584, 0.265)
Fe (0.380, 0.238, 0.086)
O (0.822, 0.263, 0.930)
Fe (0.620, 0.762, 0.914)
Zn (0.363, 0.918, 0.248)
O (0.392, 0.599, 0.699)
Zn (0.089, 0.260, 0.411)
O (0.608, 0.401, 0.301)
O (0.171, 0.237, 0.638)

Computed properties:
The formation energy is -1.485 eV per atom. The calculation puts the spin magnetization at 4.0 μB per formula unit. As for the crystal system: triclinic. Its calculated total energy is -0.202 hartree per atom. The MP2020-corrected energy is -102.3 eV for the cell shown.

---

> Number 2 is which compound?

Zn2Fe7O12

---

> Number 2 is which compound?

Zn2Fe7O12